# Nd3Sb5Pd6 (PBE, relaxed)
data_Nd3Sb5Pd6
_chemical_formula_sum 'Nd6 Sb10 Pd12'
_space_group_name_H-M_alt 'P m m n'
_space_group_IT_number 59
_cell_length_a 4.4944
_cell_length_b 13.5918
_cell_length_c 10.1262
_cell_angle_alpha 90.00
_cell_angle_beta 90.00
_cell_angle_gamma 90.00
loop_
_space_group_symop_operation_xyz
'x,y,z'
'-x,-y,-z'
'-x+1/2,-y+1/2,z'
'x+1/2,y+1/2,-z'
'x+1/2,-y,-z'
'-x+1/2,y,z'
'-x,y+1/2,-z'
'x,-y+1/2,z'
loop_
_atom_site_label
_atom_site_type_symbol
_atom_site_fract_x
_atom_site_fract_y
_atom_site_fract_z
Nd1 Nd 0.2500 0.0735 0.2450
Nd2 Nd 0.2500 0.7500 0.2434
Sb1 Sb 0.2500 0.0873 0.8628
Sb2 Sb 0.2500 0.6236 0.5238
Sb3 Sb 0.2500 0.7500 0.8269
Pd1 Pd 0.2500 0.0678 0.6027
Pd2 Pd 0.2500 0.2500 0.0185
Pd3 Pd 0.2500 0.2500 0.4725
Pd4 Pd 0.2500 0.5900 0.9903
# Total DFT energy (no corrections) in eV per atom: -5.600
# DFT formation energy in eV per atom: -0.883
# Crystal system: orthorhombic